This record from the Materials Project describes a relaxed Hf2N2O crystal. The functional is GGA-PBE.

Cell: 8.727 8.727 8.732 Å, 109.45 109.44 109.44°
Space group P1 (No. 1)
Unique sites:
Hf1 0.000 0.000 0.000 [1 per cell]
Hf2 0.002 0.498 0.499 [1 per cell]
Hf3 0.046 0.750 0.218 [1 per cell]
Hf4 0.224 0.969 0.674 [1 per cell]
Hf5 0.248 0.706 0.966 [1 per cell]
Hf6 0.268 0.232 0.487 [1 per cell]
Hf7 0.286 0.466 0.250 [1 per cell]
Hf8 0.476 0.681 0.727 [1 per cell]
Hf9 0.506 0.930 0.431 [1 per cell]
Hf10 0.511 0.440 0.939 [1 per cell]
Hf11 0.551 0.265 0.230 [1 per cell]
Hf12 0.722 0.968 0.186 [1 per cell]
Hf13 0.758 0.711 0.459 [1 per cell]
Hf14 0.769 0.223 0.980 [1 per cell]
Hf15 0.798 0.478 0.762 [1 per cell]
Hf16 0.977 0.188 0.718 [1 per cell]
N1 0.022 0.757 0.960 [1 per cell]
N2 0.031 0.447 0.732 [1 per cell]
N3 0.032 0.263 0.002 [1 per cell]
N4 0.215 0.449 0.458 [1 per cell]
N5 0.224 0.226 0.709 [1 per cell]
N6 0.252 0.676 0.200 [1 per cell]
N7 0.309 0.996 0.484 [1 per cell]
N8 0.496 0.688 0.983 [1 per cell]
N9 0.518 0.488 0.199 [1 per cell]
N10 0.531 0.459 0.697 [1 per cell]
N11 0.726 0.944 0.920 [1 per cell]
N12 0.742 0.480 0.504 [1 per cell]
N13 0.770 0.959 0.437 [1 per cell]
N14 0.792 0.489 0.017 [1 per cell]
N15 0.797 0.250 0.240 [1 per cell]
N16 0.988 0.712 0.430 [1 per cell]
O1 0.273 0.771 0.748 [1 per cell]
O2 0.291 0.199 0.230 [1 per cell]
O3 0.483 0.166 0.934 [1 per cell]
O4 0.483 0.995 0.211 [1 per cell]
O5 0.533 0.737 0.520 [1 per cell]
O6 0.710 0.183 0.698 [1 per cell]
O7 0.986 0.983 0.242 [1 per cell]
O8 0.996 0.944 0.744 [1 per cell]

## Properties
- V (Å³ per cell) = 513
- E_form (kJ/mol of formula units) = -1151
- uncorrected energy (eV/atom) = -10.556
- E (MP2020) (Ry/atom) = -0.7860